[1]
DFT (GGA-PBE) results for a geometry-optimized Na9Nb4Zn2Si6P3O36 structure.

```
data_Na9Nb4Zn2Si6P3O36
_chemical_formula_sum 'Na54 Nb24 Zn12 Si36 P18 O216'
_symmetry_space_group_name_H-M 'P 1'
_symmetry_Int_Tables_number 1
_symmetry_space_group_name_Hall 'P 1'
_cell_length_a 9.102
_cell_length_b 22.297
_cell_length_c 24.015
_cell_angle_alpha 89.95
_cell_angle_beta 79.11
_cell_angle_gamma 89.96
loop_
_atom_site_label
_atom_site_type_symbol
_atom_site_fract_x
_atom_site_fract_y
_atom_site_fract_z
Na1 Na 0.000 0.000 0.000
Na2 Na 0.001 0.414 0.676
Na3 Na 0.008 0.093 0.658
Na4 Na 0.012 0.927 0.351
Na5 Na 0.013 0.495 0.995
Na6 Na 0.044 0.748 0.673
Na7 Na 0.053 0.594 0.324
Na8 Na 0.094 0.422 0.438
Na9 Na 0.112 0.748 0.453
Na10 Na 0.124 0.333 0.781
Na11 Na 0.132 0.258 0.117
Na12 Na 0.153 0.830 0.774
Na13 Na 0.163 0.094 0.438
Na14 Na 0.164 0.919 0.092
Na15 Na 0.188 0.915 0.894
Na16 Na 0.221 0.095 0.237
Na17 Na 0.224 0.748 0.213
Na18 Na 0.232 0.180 0.555
Na19 Na 0.238 0.670 0.555
Na20 Na 0.245 0.247 0.873
Na21 Na 0.265 0.586 0.896
Na22 Na 0.289 0.255 0.667
Na23 Na 0.309 0.415 0.009
Na24 Na 0.331 0.083 0.992
Na25 Na 0.342 0.510 0.331
Na26 Na 0.356 0.594 0.661
Na27 Na 0.364 0.015 0.333
Na28 Na 0.421 0.594 0.439
Na29 Na 0.456 0.258 0.460
Na30 Na 0.462 0.336 0.109
Na31 Na 0.464 0.841 0.107
Na32 Na 0.479 0.091 0.780
Na33 Na 0.493 0.929 0.432
Na34 Na 0.526 0.928 0.217
Na35 Na 0.553 0.664 0.888
Na36 Na 0.568 0.597 0.239
Na37 Na 0.585 0.171 0.894
Na38 Na 0.587 0.246 0.215
Na39 Na 0.611 0.427 0.548
Na40 Na 0.664 0.428 0.350
Na41 Na 0.665 0.994 0.664
Na42 Na 0.680 0.504 0.668
Na43 Na 0.695 0.581 0.982
Na44 Na 0.701 0.921 0.017
Na45 Na 0.749 0.580 0.785
Na46 Na 0.783 0.844 0.445
Na47 Na 0.790 0.412 0.094
Na48 Na 0.806 0.343 0.445
Na49 Na 0.815 0.914 0.759
Na50 Na 0.817 0.245 0.789
Na51 Na 0.847 0.920 0.556
Na52 Na 0.892 0.171 0.227
Na53 Na 0.894 0.673 0.219
Na54 Na 0.902 0.748 0.874
Nb1 Nb 0.007 0.151 0.999
Nb2 Nb 0.014 0.653 0.002
Nb3 Nb 0.127 0.983 0.777
Nb4 Nb 0.130 0.484 0.778
Nb5 Nb 0.226 0.523 0.557
Nb6 Nb 0.239 0.815 0.558
Nb7 Nb 0.242 0.027 0.553
Nb8 Nb 0.345 0.356 0.331
Nb9 Nb 0.346 0.857 0.333
Nb10 Nb 0.451 0.484 0.111
Nb11 Nb 0.456 0.694 0.110
Nb12 Nb 0.459 0.189 0.110
Nb13 Nb 0.565 0.814 0.888
Nb14 Nb 0.572 0.319 0.889
Nb15 Nb 0.574 0.026 0.888
Nb16 Nb 0.678 0.148 0.667
Nb17 Nb 0.678 0.360 0.665
Nb18 Nb 0.678 0.651 0.666
Nb19 Nb 0.785 0.693 0.445
Nb20 Nb 0.795 0.191 0.444
Nb21 Nb 0.897 0.026 0.223
Nb22 Nb 0.900 0.815 0.221
Nb23 Nb 0.907 0.317 0.222
Nb24 Nb 0.909 0.525 0.221
Zn1 Zn 0.007 0.849 0.002
Zn2 Zn 0.010 0.351 0.003
Zn3 Zn 0.128 0.182 0.778
Zn4 Zn 0.135 0.685 0.775
Zn5 Zn 0.228 0.320 0.558
Zn6 Zn 0.348 0.660 0.331
Zn7 Zn 0.356 0.158 0.330
Zn8 Zn 0.454 0.991 0.109
Zn9 Zn 0.568 0.519 0.885
Zn10 Zn 0.675 0.857 0.665
Zn11 Zn 0.790 0.988 0.447
Zn12 Zn 0.793 0.488 0.449
Si1 Si 0.001 0.422 0.320
Si2 Si 0.022 0.589 0.681
Si3 Si 0.043 0.922 0.652
Si4 Si 0.054 0.751 0.332
Si5 Si 0.100 0.420 0.123
Si6 Si 0.112 0.760 0.096
Si7 Si 0.137 0.920 0.459
Si8 Si 0.162 0.086 0.112
Si9 Si 0.193 0.920 0.221
Si10 Si 0.218 0.089 0.875
Si11 Si 0.247 0.249 0.236
Si12 Si 0.262 0.589 0.209
Si13 Si 0.304 0.256 0.999
Si14 Si 0.318 0.091 0.680
Si15 Si 0.334 0.418 0.653
Si16 Si 0.358 0.587 0.013
Si17 Si 0.418 0.591 0.780
Si18 Si 0.445 0.752 0.430
Si19 Si 0.471 0.921 0.790
Si20 Si 0.483 0.254 0.764
Si21 Si 0.542 0.751 0.235
Si22 Si 0.582 0.254 0.569
Si23 Si 0.593 0.585 0.541
Si24 Si 0.613 0.421 0.222
Si25 Si 0.638 0.254 0.333
Si26 Si 0.655 0.081 0.014
Si27 Si 0.706 0.921 0.319
Si28 Si 0.721 0.757 0.999
Si29 Si 0.745 0.587 0.111
Si30 Si 0.769 0.423 0.792
Si31 Si 0.816 0.257 0.097
Si32 Si 0.836 0.090 0.779
Si33 Si 0.860 0.919 0.889
Si34 Si 0.873 0.758 0.570
Si35 Si 0.888 0.083 0.540
Si36 Si 0.942 0.416 0.553
P1 P 0.084 0.585 0.444
P2 P 0.152 0.250 0.430
P3 P 0.206 0.757 0.901
P4 P 0.274 0.423 0.889
P5 P 0.379 0.920 0.985
P6 P 0.390 0.758 0.668
P7 P 0.426 0.418 0.458
P8 P 0.502 0.086 0.442
P9 P 0.524 0.921 0.557
P10 P 0.554 0.084 0.210
P11 P 0.666 0.425 0.985
P12 P 0.698 0.584 0.348
P13 P 0.775 0.756 0.763
P14 P 0.809 0.922 0.125
P15 P 0.917 0.258 0.904
P16 P 0.934 0.591 0.875
P17 P 0.969 0.254 0.665
P18 P 0.983 0.084 0.347
O1 O 0.007 0.252 0.843
O2 O 0.007 0.757 0.161
O3 O 0.010 0.476 0.162
O4 O 0.021 0.536 0.842
O5 O 0.031 0.259 0.721
O6 O 0.034 0.083 0.171
O7 O 0.037 0.531 0.723
O8 O 0.041 0.360 0.159
O9 O 0.052 0.476 0.561
O10 O 0.055 0.425 0.062
O11 O 0.055 0.703 0.061
O12 O 0.056 0.362 0.541
O13 O 0.060 0.755 0.565
O14 O 0.071 0.084 0.544
O15 O 0.076 0.979 0.230
O16 O 0.077 0.261 0.224
O17 O 0.077 0.583 0.215
O18 O 0.086 0.100 0.056
O19 O 0.089 0.861 0.214
O20 O 0.090 0.650 0.702
O21 O 0.090 0.927 0.714
O22 O 0.092 0.250 0.613
O23 O 0.108 0.822 0.063
O24 O 0.113 0.979 0.610
O25 O 0.116 0.092 0.939
O26 O 0.125 0.860 0.622
O27 O 0.129 0.576 0.618
O28 O 0.133 0.814 0.929
O29 O 0.151 0.413 0.941
O30 O 0.151 0.700 0.940
O31 O 0.153 0.692 0.316
O32 O 0.154 0.089 0.339
O33 O 0.156 0.582 0.499
O34 O 0.160 0.809 0.343
O35 O 0.163 0.030 0.843
O36 O 0.165 0.751 0.843
O37 O 0.165 0.862 0.500
O38 O 0.178 0.414 0.326
O39 O 0.181 0.595 0.007
O40 O 0.193 0.257 0.488
O41 O 0.197 0.981 0.488
O42 O 0.202 0.198 0.987
O43 O 0.207 0.308 0.391
O44 O 0.208 0.315 0.018
O45 O 0.210 0.425 0.833
O46 O 0.210 0.921 0.989
O47 O 0.214 0.590 0.392
O48 O 0.227 0.151 0.701
O49 O 0.227 0.194 0.402
O50 O 0.229 0.433 0.715
O51 O 0.236 0.148 0.836
O52 O 0.250 0.187 0.269
O53 O 0.253 0.753 0.716
O54 O 0.253 0.915 0.397
O55 O 0.258 0.916 0.281
O56 O 0.261 0.026 0.095
O57 O 0.261 0.034 0.724
O58 O 0.267 0.358 0.631
O59 O 0.268 0.144 0.123
O60 O 0.283 0.078 0.616
O61 O 0.283 0.424 0.118
O62 O 0.283 0.747 0.107
O63 O 0.290 0.925 0.790
O64 O 0.305 0.256 0.770
O65 O 0.306 0.584 0.271
O66 O 0.309 0.305 0.272
O67 O 0.309 0.532 0.770
O68 O 0.309 0.646 0.793
O69 O 0.316 0.650 0.174
O70 O 0.320 0.477 0.610
O71 O 0.323 0.756 0.611
O72 O 0.325 0.924 0.166
O73 O 0.342 0.475 0.489
O74 O 0.344 0.764 0.494
O75 O 0.351 0.532 0.171
O76 O 0.359 0.480 0.899
O77 O 0.360 0.251 0.173
O78 O 0.370 0.417 0.399
O79 O 0.373 0.693 0.408
O80 O 0.374 0.525 0.051
O81 O 0.379 0.086 0.499
O82 O 0.382 0.758 0.897
O83 O 0.385 0.242 0.055
O84 O 0.387 0.361 0.493
O85 O 0.387 0.367 0.882
O86 O 0.391 0.077 0.886
O87 O 0.408 0.586 0.546
O88 O 0.409 0.642 0.052
O89 O 0.410 0.254 0.563
O90 O 0.415 0.092 0.394
O91 O 0.418 0.865 0.555
O92 O 0.420 0.977 0.556
O93 O 0.428 0.811 0.390
O94 O 0.428 0.917 0.042
O95 O 0.435 0.262 0.941
O96 O 0.440 0.978 0.951
O97 O 0.446 0.809 0.270
O98 O 0.456 0.089 0.269
O99 O 0.457 0.865 0.950
O100 O 0.464 0.588 0.952
O101 O 0.481 0.812 0.673
O102 O 0.485 0.413 0.280
O103 O 0.488 0.698 0.664
O104 O 0.488 0.753 0.174
O105 O 0.488 0.862 0.832
O106 O 0.500 0.093 0.677
O107 O 0.504 0.583 0.832
O108 O 0.506 0.691 0.270
O109 O 0.508 0.027 0.182
O110 O 0.513 0.418 0.656
O111 O 0.517 0.980 0.827
O112 O 0.524 0.916 0.321
O113 O 0.526 0.315 0.345
O114 O 0.533 0.141 0.173
O115 O 0.535 0.590 0.341
O116 O 0.536 0.262 0.826
O117 O 0.543 0.427 0.164
O118 O 0.544 0.593 0.720
O119 O 0.549 0.199 0.314
O120 O 0.554 0.422 0.044
O121 O 0.555 0.310 0.720
O122 O 0.556 0.137 0.051
O123 O 0.570 0.193 0.736
O124 O 0.583 0.919 0.731
O125 O 0.585 0.744 0.054
O126 O 0.590 0.027 0.436
O127 O 0.592 0.922 0.609
O128 O 0.595 0.426 0.446
O129 O 0.599 0.084 0.953
O130 O 0.604 0.142 0.448
O131 O 0.609 0.199 0.613
O132 O 0.612 0.370 0.952
O133 O 0.620 0.019 0.047
O134 O 0.623 0.747 0.436
O135 O 0.624 0.600 0.606
O136 O 0.629 0.643 0.123
O137 O 0.634 0.243 0.109
O138 O 0.635 0.316 0.597
O139 O 0.639 0.918 0.501
O140 O 0.642 0.483 0.954
O141 O 0.644 0.921 0.122
O142 O 0.648 0.527 0.099
O143 O 0.651 0.758 0.940
O144 O 0.658 0.640 0.497
O145 O 0.667 0.522 0.520
O146 O 0.667 0.758 0.823
O147 O 0.690 0.484 0.814
O148 O 0.691 0.081 0.832
O149 O 0.692 0.244 0.506
O150 O 0.705 0.365 0.833
O151 O 0.707 0.247 0.392
O152 O 0.714 0.480 0.233
O153 O 0.714 0.527 0.381
O154 O 0.722 0.764 0.225
O155 O 0.723 0.362 0.212
O156 O 0.725 0.084 0.213
O157 O 0.725 0.699 0.733
O158 O 0.737 0.409 0.727
O159 O 0.743 0.977 0.895
O160 O 0.744 0.261 0.900
O161 O 0.745 0.922 0.381
O162 O 0.752 0.640 0.380
O163 O 0.755 0.860 0.880
O164 O 0.760 0.091 0.721
O165 O 0.761 0.981 0.279
O166 O 0.765 0.582 0.885
O167 O 0.769 0.813 0.728
O168 O 0.775 0.266 0.278
O169 O 0.796 0.865 0.283
O170 O 0.799 0.098 0.606
O171 O 0.799 0.821 0.591
O172 O 0.800 0.819 0.010
O173 O 0.804 0.585 0.288
O174 O 0.811 0.702 0.614
O175 O 0.816 0.580 0.169
O176 O 0.819 0.418 0.614
O177 O 0.825 0.419 0.995
O178 O 0.833 0.098 0.004
O179 O 0.835 0.021 0.519
O180 O 0.837 0.867 0.161
O181 O 0.840 0.699 0.989
O182 O 0.843 0.593 0.677
O183 O 0.845 0.741 0.506
O184 O 0.849 0.320 0.065
O185 O 0.849 0.978 0.161
O186 O 0.856 0.423 0.501
O187 O 0.862 0.255 0.161
O188 O 0.865 0.310 0.665
O189 O 0.865 0.924 0.656
O190 O 0.866 0.197 0.667
O191 O 0.871 0.139 0.496
O192 O 0.871 0.596 0.053
O193 O 0.895 0.420 0.381
O194 O 0.902 0.140 0.379
O195 O 0.915 0.203 0.060
O196 O 0.916 0.925 0.068
O197 O 0.919 0.151 0.788
O198 O 0.929 0.746 0.391
O199 O 0.933 0.200 0.939
O200 O 0.936 0.749 0.774
O201 O 0.936 0.919 0.945
O202 O 0.937 0.026 0.380
O203 O 0.938 0.084 0.287
O204 O 0.949 0.032 0.769
O205 O 0.951 0.367 0.281
O206 O 0.954 0.423 0.785
O207 O 0.965 0.918 0.452
O208 O 0.971 0.312 0.932
O209 O 0.972 0.648 0.840
O210 O 0.974 0.763 0.278
O211 O 0.977 0.248 0.433
O212 O 0.982 0.642 0.449
O213 O 0.985 0.925 0.830
O214 O 0.986 0.483 0.282
O215 O 0.989 0.592 0.933
O216 O 0.999 0.527 0.436
```

Computed properties:
Total energy after the MP2020 corrections = -2692.52 eV for the cell shown
Excess energy over the best structure of this formula in the dataset = 0 meV/atom
Energy of formation from the pure elements = -2.783 eV per atom
VASP energy = -2544.13 eV per cell
Total magnetic moment = 0.0 μB per formula unit



[2]
DFT (GGA-PBE) results for a geometry-optimized Na6Nb4Zn2Si3P6O36 structure.

```
data_Na6Nb4Zn2Si3P6O36
_chemical_formula_sum 'Na24 Nb16 Zn8 Si12 P24 O144'
_symmetry_space_group_name_H-M 'C 1 c 1'
_symmetry_Int_Tables_number 9
_symmetry_space_group_name_Hall 'C -2yc'
_cell_length_a 15.530
_cell_length_b 8.883
_cell_length_c 22.658
_cell_angle_alpha 90.00
_cell_angle_beta 90.13
_cell_angle_gamma 90.00
loop_
_atom_site_label
_atom_site_type_symbol
_atom_site_fract_x
_atom_site_fract_y
_atom_site_fract_z
Na1 Na 0.000 0.001 0.000
Na2 Na 0.166 0.129 0.420
Na3 Na 0.174 0.490 0.670
Na4 Na 0.326 0.306 0.251
Na5 Na 0.337 0.009 0.835
Na6 Na 0.498 0.137 0.752
Nb1 Nb 0.005 0.005 0.649
Nb2 Nb 0.169 0.495 0.819
Nb3 Nb 0.171 0.495 0.528
Nb4 Nb 0.341 0.006 0.988
Zn1 Zn 0.001 0.003 0.359
Zn2 Zn 0.332 0.003 0.686
Si1 Si 0.023 0.353 0.423
Si2 Si 0.195 0.141 0.591
Si3 Si 0.336 0.291 0.094
P1 P 0.005 0.287 0.758
P2 P 0.151 0.141 0.259
P3 P 0.171 0.210 0.924
P4 P 0.317 0.357 0.423
P5 P 0.361 0.352 0.757
P6 P 0.484 0.144 0.592
O1 O 0.019 0.186 0.702
O2 O 0.021 0.174 0.420
O3 O 0.073 0.432 0.364
O4 O 0.075 0.420 0.079
O5 O 0.088 0.398 0.477
O6 O 0.090 0.118 0.204
O7 O 0.090 0.387 0.762
O8 O 0.093 0.109 0.919
O9 O 0.098 0.065 0.597
O10 O 0.111 0.084 0.316
O11 O 0.157 0.325 0.263
O12 O 0.164 0.314 0.977
O13 O 0.177 0.323 0.579
O14 O 0.185 0.314 0.868
O15 O 0.238 0.071 0.529
O16 O 0.244 0.087 0.254
O17 O 0.251 0.133 0.648
O18 O 0.254 0.398 0.079
O19 O 0.255 0.111 0.928
O20 O 0.257 0.386 0.367
O21 O 0.268 0.423 0.477
O22 O 0.270 0.435 0.763
O23 O 0.317 0.182 0.428
O24 O 0.321 0.205 0.154
O25 O 0.351 0.182 0.750
O26 O 0.353 0.180 0.035
O27 O 0.403 0.432 0.702
O28 O 0.405 0.425 0.419
O29 O 0.415 0.380 0.812
O30 O 0.424 0.113 0.537
O31 O 0.424 0.399 0.097
O32 O 0.430 0.059 0.928
O33 O 0.430 0.103 0.251
O34 O 0.451 0.074 0.649
O35 O 0.490 0.310 0.312
O36 O 0.492 0.318 0.596
```

Computed properties:
Total energy after the MP2020 corrections = -1739.49 eV for the cell shown
Energy of formation from the pure elements = -2.757 eV per atom
VASP energy = -1640.57 eV per cell
Total magnetic moment = 0.0 μB per formula unit



Which of these has the lowest VASP energy?
Na9Nb4Zn2Si6P3O36



total energy after the MP2020 corrections of number 1 (Na9Nb4Zn2Si6P3O36)?
-2692.52 eV for the cell shown



Copy entry 2 word for word.
DFT (GGA-PBE) results for a geometry-optimized Na6Nb4Zn2Si3P6O36 structure.

```
data_Na6Nb4Zn2Si3P6O36
_chemical_formula_sum 'Na24 Nb16 Zn8 Si12 P24 O144'
_symmetry_space_group_name_H-M 'C 1 c 1'
_symmetry_Int_Tables_number 9
_symmetry_space_group_name_Hall 'C -2yc'
_cell_length_a 15.530
_cell_length_b 8.883
_cell_length_c 22.658
_cell_angle_alpha 90.00
_cell_angle_beta 90.13
_cell_angle_gamma 90.00
loop_
_atom_site_label
_atom_site_type_symbol
_atom_site_fract_x
_atom_site_fract_y
_atom_site_fract_z
Na1 Na 0.000 0.001 0.000
Na2 Na 0.166 0.129 0.420
Na3 Na 0.174 0.490 0.670
Na4 Na 0.326 0.306 0.251
Na5 Na 0.337 0.009 0.835
Na6 Na 0.498 0.137 0.752
Nb1 Nb 0.005 0.005 0.649
Nb2 Nb 0.169 0.495 0.819
Nb3 Nb 0.171 0.495 0.528
Nb4 Nb 0.341 0.006 0.988
Zn1 Zn 0.001 0.003 0.359
Zn2 Zn 0.332 0.003 0.686
Si1 Si 0.023 0.353 0.423
Si2 Si 0.195 0.141 0.591
Si3 Si 0.336 0.291 0.094
P1 P 0.005 0.287 0.758
P2 P 0.151 0.141 0.259
P3 P 0.171 0.210 0.924
P4 P 0.317 0.357 0.423
P5 P 0.361 0.352 0.757
P6 P 0.484 0.144 0.592
O1 O 0.019 0.186 0.702
O2 O 0.021 0.174 0.420
O3 O 0.073 0.432 0.364
O4 O 0.075 0.420 0.079
O5 O 0.088 0.398 0.477
O6 O 0.090 0.118 0.204
O7 O 0.090 0.387 0.762
O8 O 0.093 0.109 0.919
O9 O 0.098 0.065 0.597
O10 O 0.111 0.084 0.316
O11 O 0.157 0.325 0.263
O12 O 0.164 0.314 0.977
O13 O 0.177 0.323 0.579
O14 O 0.185 0.314 0.868
O15 O 0.238 0.071 0.529
O16 O 0.244 0.087 0.254
O17 O 0.251 0.133 0.648
O18 O 0.254 0.398 0.079
O19 O 0.255 0.111 0.928
O20 O 0.257 0.386 0.367
O21 O 0.268 0.423 0.477
O22 O 0.270 0.435 0.763
O23 O 0.317 0.182 0.428
O24 O 0.321 0.205 0.154
O25 O 0.351 0.182 0.750
O26 O 0.353 0.180 0.035
O27 O 0.403 0.432 0.702
O28 O 0.405 0.425 0.419
O29 O 0.415 0.380 0.812
O30 O 0.424 0.113 0.537
O31 O 0.424 0.399 0.097
O32 O 0.430 0.059 0.928
O33 O 0.430 0.103 0.251
O34 O 0.451 0.074 0.649
O35 O 0.490 0.310 0.312
O36 O 0.492 0.318 0.596
```

Computed properties:
Total energy after the MP2020 corrections = -1739.49 eV for the cell shown
Energy of formation from the pure elements = -2.757 eV per atom
VASP energy = -1640.57 eV per cell
Total magnetic moment = 0.0 μB per formula unit



The highest VASP energy belongs to which entry?
Na6Nb4Zn2Si3P6O36